No. 1
The following is a PBE+U calculation of a geometry-optimized Li3Mn2CoO6 structure, from the Materials Project.

V: 114 Å³/f.u.
SG: No. 2
Energy relative to the lowest polymorph listed for this composition: 26 meV/atom
Energy relative to the elements: -1.9771 eV/atom
Final energy: -6.290 eV/atom

a = 5.091 Å, b = 5.103 Å, c = 5.107 Å
α = 79.01°, β = 73.42°, γ = 63.98°
Sites, in units of the cell vectors:
Li  0.858  0.312  0.493
Li  0.142  0.688  0.507
Li  0.500  0.000  0.500
Mn  0.332  0.333  0.999
Mn  0.668  0.667  0.001
Co  0.000  0.000  0.000
O  0.239  0.019  0.234
O  0.600  0.329  0.216
O  0.900  0.680  0.237
O  0.400  0.671  0.784
O  0.761  0.981  0.766
O  0.100  0.320  0.763

---

No. 2
The following is a PBE+U calculation of a geometry-optimized SbW2O8 structure, from the Materials Project.

V: 147 Å³/f.u.
SG: No. 13
Energy relative to the lowest polymorph listed for this composition: 0 meV/atom
Energy relative to the elements: -1.9531 eV/atom
Final energy: -6.976 eV/atom

a = 5.839 Å, b = 5.141 Å, c = 10.891 Å
α = 64.27°, β = 90.00°, γ = 90.00°
Sites, in units of the cell vectors:
Sb  0.346  0.500  0.750
Sb  0.654  0.500  0.250
W  0.168  0.272  0.492
W  0.168  0.728  0.008
W  0.832  0.728  0.508
W  0.832  0.272  0.992
O  0.358  0.723  0.872
O  0.358  0.277  0.628
O  0.642  0.277  0.128
O  0.642  0.723  0.372
O  0.891  0.165  0.402
O  0.891  0.835  0.098
O  0.109  0.835  0.598
O  0.109  0.165  0.902
O  0.609  0.256  0.874
O  0.609  0.744  0.626
O  0.391  0.744  0.126
O  0.391  0.256  0.374
O  0.903  0.660  0.892
O  0.097  0.340  0.108
O  0.903  0.340  0.608
O  0.097  0.660  0.392

---

No. 3
The following is a PBE+U calculation of a geometry-optimized Li3V2Fe2O8 structure, from the Materials Project.

V: 151 Å³/f.u.
SG: No. 2
Energy relative to the lowest polymorph listed for this composition: 0 meV/atom
Energy relative to the elements: -2.1517 eV/atom
Final energy: -6.619 eV/atom

a = 5.944 Å, b = 5.947 Å, c = 5.969 Å
α = 60.43°, β = 60.50°, γ = 60.52°
Sites, in units of the cell vectors:
Li  0.500  0.000  0.000
Li  0.500  0.500  0.000
Li  0.500  0.500  0.500
V  0.000  0.000  0.500
V  0.000  0.500  0.500
Fe  0.500  0.000  0.500
Fe  0.000  0.000  0.000
O  0.229  0.231  0.285
O  0.754  0.760  0.269
O  0.758  0.221  0.265
O  0.768  0.233  0.746
O  0.232  0.767  0.254
O  0.242  0.779  0.735
O  0.246  0.240  0.731
O  0.771  0.769  0.715

---

No. 4
The following is a PBE+U calculation of a geometry-optimized MgMn2O4 structure, from the Materials Project.

V: 80 Å³/f.u.
SG: No. 70
Energy relative to the lowest polymorph listed for this composition: 0 meV/atom
Energy relative to the elements: -2.3413 eV/atom
Final energy: -7.146 eV/atom

a = 5.805 Å, b = 6.264 Å, c = 5.805 Å
α = 62.35°, β = 90.08°, γ = 117.65°
Sites, in units of the cell vectors:
Mg  0.625  0.750  0.625
Mg  0.375  0.250  0.375
Mn  0.000  0.500  0.000
Mn  0.000  0.000  0.000
Mn  0.000  0.500  0.500
Mn  0.500  0.000  0.000
O  0.777  0.508  0.246
O  0.246  0.992  0.777
O  0.246  0.992  0.230
O  0.223  0.492  0.754
O  0.770  0.492  0.754
O  0.754  0.008  0.223
O  0.230  0.508  0.246
O  0.754  0.008  0.770

---

No. 5
The following is a PBE+U calculation of a geometry-optimized Li9Co7O16 structure, from the Materials Project.

V: 282 Å³/f.u.
SG: No. 2
Energy relative to the lowest polymorph listed for this composition: 56 meV/atom
Energy relative to the elements: -1.6997 eV/atom
Final energy: -5.564 eV/atom

a = 5.081 Å, b = 7.651 Å, c = 7.736 Å
α = 82.49°, β = 84.18°, γ = 71.71°
Sites, in units of the cell vectors:
Li  0.497  0.562  0.816
Li  0.493  0.816  0.062
Li  0.503  0.438  0.184
Li  0.496  0.692  0.438
Li  0.504  0.308  0.562
Li  0.507  0.184  0.938
Li  0.492  0.060  0.316
Li  0.508  0.940  0.684
Li  0.000  0.000  0.500
Co  0.994  0.628  0.623
Co  0.006  0.372  0.377
Co  0.001  0.875  0.870
Co  0.999  0.125  0.130
Co  0.000  0.500  0.000
Co  0.002  0.757  0.254
Co  0.998  0.243  0.746
O  0.783  0.468  0.583
O  0.768  0.711  0.831
O  0.768  0.346  0.970
O  0.784  0.580  0.230
O  0.782  0.230  0.335
O  0.761  0.102  0.723
O  0.767  0.962  0.090
O  0.772  0.822  0.479
O  0.232  0.654  0.030
O  0.239  0.898  0.277
O  0.217  0.532  0.417
O  0.218  0.770  0.665
O  0.216  0.420  0.770
O  0.232  0.289  0.169
O  0.228  0.178  0.521
O  0.233  0.038  0.910

---

No. 6
The following is a PBE+U calculation of a geometry-optimized Li2MoO4 structure, from the Materials Project.

V: 100 Å³/f.u.
SG: No. 148
Energy relative to the elements: -2.2731 eV/atom
Final energy: -6.345 eV/atom

a = 9.037 Å, b = 9.037 Å, c = 9.037 Å
α = 107.85°, β = 107.85°, γ = 107.85°
Sites, in units of the cell vectors:
Li  0.629  0.224  0.393
Li  0.933  0.703  0.108
Li  0.067  0.297  0.892
Li  0.393  0.629  0.224
Li  0.108  0.933  0.703
Li  0.703  0.108  0.933
Li  0.607  0.371  0.776
Li  0.224  0.393  0.629
Li  0.297  0.892  0.067
Li  0.776  0.607  0.371
Li  0.892  0.067  0.297
Li  0.371  0.776  0.607
Mo  0.964  0.555  0.732
Mo  0.036  0.445  0.268
Mo  0.555  0.732  0.964
Mo  0.268  0.036  0.445
Mo  0.732  0.964  0.555
Mo  0.445  0.268  0.036
O  0.810  0.472  0.510
O  0.817  0.116  0.778
O  0.510  0.810  0.472
O  0.460  0.139  0.152
O  0.848  0.540  0.861
O  0.861  0.848  0.540
O  0.222  0.183  0.884
O  0.490  0.190  0.528
O  0.778  0.817  0.116
O  0.251  0.921  0.574
O  0.884  0.222  0.183
O  0.116  0.778  0.817
O  0.472  0.510  0.810
O  0.190  0.528  0.490
O  0.139  0.152  0.460
O  0.183  0.884  0.222
O  0.921  0.574  0.251
O  0.528  0.490  0.190
O  0.540  0.861  0.848
O  0.749  0.079  0.426
O  0.152  0.460  0.139
O  0.426  0.749  0.079
O  0.574  0.251  0.921
O  0.079  0.426  0.749

---

No. 7
The following is a PBE+U calculation of a geometry-optimized Li2MnCo3O8 structure, from the Materials Project.

V: 144 Å³/f.u.
SG: No. 1
Energy relative to the lowest polymorph listed for this composition: 95 meV/atom
Energy relative to the elements: -1.5836 eV/atom
Final energy: -5.999 eV/atom

a = 5.938 Å, b = 5.993 Å, c = 8.117 Å
α = 87.43°, β = 90.02°, γ = 89.95°
Sites, in units of the cell vectors:
Li  0.994  0.001  0.500
Li  0.505  0.499  0.001
Li  0.504  0.001  0.500
Li  0.996  0.499  0.000
Mn  0.505  0.500  0.500
Mn  0.993  0.000  0.000
Co  0.498  0.999  0.000
Co  0.001  0.501  0.500
Co  0.250  0.749  0.250
Co  0.750  0.250  0.750
Co  0.750  0.750  0.250
Co  0.251  0.251  0.750
O  0.518  0.963  0.235
O  0.982  0.464  0.735
O  0.519  0.038  0.764
O  0.983  0.536  0.265
O  0.983  0.035  0.761
O  0.516  0.534  0.262
O  0.985  0.966  0.238
O  0.517  0.466  0.740
O  0.738  0.272  0.515
O  0.234  0.775  0.011
O  0.266  0.275  0.513
O  0.763  0.768  0.017
O  0.737  0.730  0.483
O  0.234  0.226  0.987
O  0.266  0.725  0.490
O  0.762  0.229  0.984

---

No. 8
The following is a PBE+U calculation of a geometry-optimized AlV4Cu3O12 structure, from the Materials Project.

V: 199 Å³/f.u.
SG: No. 2
Energy relative to the lowest polymorph listed for this composition: 99 meV/atom
Energy relative to the elements: -1.8826 eV/atom
Final energy: -6.718 eV/atom

a = 6.367 Å, b = 6.384 Å, c = 6.337 Å
α = 109.78°, β = 109.04°, γ = 109.26°
Sites, in units of the cell vectors:
Al  0.000  0.000  0.000
V  0.500  0.000  0.000
V  0.000  0.000  0.500
V  0.000  0.500  0.000
V  0.500  0.500  0.500
Cu  0.500  0.000  0.500
Cu  0.500  0.500  0.000
Cu  0.000  0.500  0.500
O  0.829  0.296  0.118
O  0.171  0.704  0.882
O  0.825  0.701  0.531
O  0.304  0.472  0.182
O  0.471  0.169  0.291
O  0.119  0.832  0.300
O  0.703  0.877  0.172
O  0.529  0.831  0.709
O  0.175  0.299  0.469
O  0.696  0.528  0.818
O  0.881  0.168  0.700
O  0.297  0.123  0.828

---

No. 9
The following is a PBE+U calculation of a geometry-optimized MoH12N3O3F5 structure, from the Materials Project.

V: 233 Å³/f.u.
SG: No. 61
Energy relative to the elements: -1.1868 eV/atom
Final energy: -5.145 eV/atom

a = 6.867 Å, b = 16.240 Å, c = 16.725 Å
α = 90.00°, β = 90.00°, γ = 90.00°
Sites, in units of the cell vectors:
Mo  0.303  0.085  0.629
Mo  0.697  0.415  0.129
Mo  0.197  0.585  0.371
Mo  0.803  0.915  0.871
Mo  0.697  0.915  0.371
Mo  0.303  0.585  0.871
Mo  0.803  0.415  0.629
Mo  0.197  0.085  0.129
H  0.222  0.320  0.803
H  0.778  0.180  0.303
H  0.278  0.820  0.197
H  0.722  0.680  0.697
H  0.778  0.680  0.197
H  0.222  0.820  0.697
H  0.722  0.180  0.803
H  0.278  0.320  0.303
H  0.296  0.272  0.718
H  0.704  0.228  0.218
H  0.204  0.772  0.282
H  0.796  0.728  0.782
H  0.704  0.728  0.282
H  0.296  0.772  0.782
H  0.796  0.228  0.718
H  0.204  0.272  0.218
H  0.425  0.261  0.806
H  0.575  0.239  0.306
H  0.075  0.761  0.194
H  0.925  0.739  0.694
H  0.575  0.739  0.194
H  0.425  0.761  0.694
H  0.925  0.239  0.806
H  0.075  0.261  0.306
H  0.427  0.352  0.754
H  0.573  0.148  0.254
H  0.073  0.852  0.246
H  0.927  0.648  0.746
H  0.573  0.648  0.246
H  0.427  0.852  0.746
H  0.927  0.148  0.754
H  0.073  0.352  0.254
H  0.243  0.045  0.830
H  0.757  0.455  0.330
H  0.257  0.545  0.170
H  0.743  0.955  0.670
H  0.757  0.955  0.170
H  0.243  0.545  0.670
H  0.743  0.455  0.830
H  0.257  0.045  0.330
H  0.198  0.071  0.925
H  0.802  0.429  0.425
H  0.302  0.571  0.075
H  0.698  0.929  0.575
H  0.802  0.929  0.075
H  0.198  0.571  0.575
H  0.698  0.429  0.925
H  0.302  0.071  0.425
H  0.391  0.113  0.876
H  0.609  0.387  0.376
H  0.109  0.613  0.124
H  0.891  0.887  0.624
H  0.609  0.887  0.124
H  0.391  0.613  0.624
H  0.891  0.387  0.876
H  0.109  0.113  0.376
H  0.393  0.011  0.904
H  0.607  0.489  0.404
H  0.107  0.511  0.096
H  0.893  0.989  0.596
H  0.607  0.989  0.096
H  0.393  0.511  0.596
H  0.893  0.489  0.904
H  0.107  0.011  0.404
H  0.161  0.344  0.495
H  0.839  0.156  0.995
H  0.339  0.844  0.505
H  0.661  0.656  0.005
H  0.839  0.656  0.505
H  0.161  0.844  0.005
H  0.661  0.156  0.495
H  0.339  0.344  0.995
H  0.266  0.262  0.539
H  0.734  0.238  0.039
H  0.234  0.762  0.461
H  0.766  0.738  0.961
H  0.734  0.738  0.461
H  0.266  0.762  0.961
H  0.766  0.238  0.539
H  0.234  0.262  0.039
H  0.383  0.354  0.537
H  0.617  0.146  0.037
H  0.117  0.854  0.463
H  0.883  0.646  0.963
H  0.617  0.646  0.463
H  0.383  0.854  0.963
H  0.883  0.146  0.537
H  0.117  0.354  0.037
H  0.361  0.300  0.451
H  0.639  0.200  0.951
H  0.139  0.800  0.549
H  0.861  0.700  0.049
H  0.639  0.700  0.549
H  0.361  0.800  0.049
H  0.861  0.200  0.451
H  0.139  0.300  0.951
N  0.343  0.302  0.769
N  0.657  0.198  0.269
N  0.157  0.802  0.231
N  0.843  0.698  0.731
N  0.657  0.698  0.231
N  0.343  0.802  0.731
N  0.843  0.198  0.769
N  0.157  0.302  0.269
N  0.306  0.060  0.884
N  0.694  0.440  0.384
N  0.194  0.560  0.116
N  0.806  0.940  0.616
N  0.694  0.940  0.116
N  0.306  0.560  0.616
N  0.806  0.440  0.884
N  0.194  0.060  0.384
N  0.291  0.314  0.505
N  0.709  0.186  0.005
N  0.209  0.814  0.495
N  0.791  0.686  0.995
N  0.709  0.686  0.495
N  0.291  0.814  0.995
N  0.791  0.186  0.505
N  0.209  0.314  0.005
O  0.286  0.966  0.646
O  0.714  0.534  0.146
O  0.214  0.466  0.354
O  0.786  0.034  0.854
O  0.714  0.034  0.354
O  0.286  0.466  0.854
O  0.786  0.534  0.646
O  0.214  0.966  0.146
O  0.375  0.984  0.569
O  0.625  0.516  0.069
O  0.125  0.484  0.431
O  0.875  0.016  0.931
O  0.625  0.016  0.431
O  0.375  0.484  0.931
O  0.875  0.516  0.569
O  0.125  0.984  0.069
O  0.522  0.106  0.674
O  0.478  0.394  0.174
O  0.978  0.606  0.326
O  0.022  0.894  0.826
O  0.478  0.894  0.326
O  0.522  0.606  0.826
O  0.022  0.394  0.674
O  0.978  0.106  0.174
F  0.028  0.073  0.571
F  0.972  0.427  0.071
F  0.472  0.573  0.429
F  0.528  0.927  0.929
F  0.972  0.927  0.429
F  0.028  0.573  0.929
F  0.528  0.427  0.571
F  0.472  0.073  0.071
F  0.202  0.201  0.640
F  0.798  0.299  0.140
F  0.298  0.701  0.360
F  0.702  0.799  0.860
F  0.798  0.799  0.360
F  0.202  0.701  0.860
F  0.702  0.299  0.640
F  0.298  0.201  0.140
F  0.145  0.077  0.730
F  0.855  0.423  0.230
F  0.355  0.577  0.270
F  0.645  0.923  0.770
F  0.855  0.923  0.270
F  0.145  0.577  0.770
F  0.645  0.423  0.730
F  0.355  0.077  0.230
F  0.381  0.135  0.523
F  0.619  0.365  0.023
F  0.119  0.635  0.477
F  0.881  0.865  0.977
F  0.619  0.865  0.477
F  0.381  0.635  0.977
F  0.881  0.365  0.523
F  0.119  0.135  0.023
F  0.019  0.299  0.868
F  0.981  0.201  0.368
F  0.481  0.799  0.132
F  0.519  0.701  0.632
F  0.981  0.701  0.132
F  0.019  0.799  0.632
F  0.519  0.201  0.868
F  0.481  0.299  0.368